SrEuGaBiO6: optimized geometry, PBE-GGA.

The calculation puts the formation enthalpy at 0 K at -2347.7 meV per atom. The calculation puts the total energy at -6.791 eV per atom.

The space group is F-43m (No. 216) and the conventional cell measures 8.230, 8.230 and 8.230 Å, with angles of 90.00, 90.00 and 90.00 degrees. The distinct sites, in fractional coordinates, are Sr at (0.000, 0.000, 0.000), Eu at (0.000, 0.000, 0.500), Ga at (0.250, 0.250, 0.750), Bi at (0.250, 0.250, 0.250) and O at (0.009, 0.250, 0.750).